Na2PHO4 | PBE | relaxed

Cell: 5.5068 6.9273 11.0807 Å, 90.00 116.32 90.00°
Element x y z (fractional)
1 Na 0.0000 0.0000 0.0000
2 Na 0.0000 0.0000 0.5000
3 Na 0.0000 0.5000 0.0000
4 Na 0.0000 0.5000 0.5000
5 Na 0.3919 0.2357 0.3884
6 Na 0.3919 0.2643 0.8884
7 Na 0.6081 0.7357 0.1116
8 Na 0.6081 0.7643 0.6116
9 P 0.3346 0.7461 0.8085
10 P 0.3346 0.7539 0.3085
11 P 0.6654 0.2461 0.6915
12 P 0.6654 0.2539 0.1915
13 H 0.0371 0.5092 0.2587
14 H 0.0371 0.9908 0.7587
15 H 0.9629 0.0092 0.2413
16 H 0.9629 0.4908 0.7413
17 O 0.2094 0.5759 0.8546
18 O 0.2094 0.9241 0.3546
19 O 0.2107 0.5576 0.3416
20 O 0.2107 0.9424 0.8416
21 O 0.2369 0.7461 0.6555
22 O 0.2369 0.7539 0.1555
23 O 0.3598 0.2459 0.1050
24 O 0.3598 0.2541 0.6050
25 O 0.6402 0.7459 0.3950
26 O 0.6402 0.7541 0.8950
27 O 0.7631 0.2461 0.8445
28 O 0.7631 0.2539 0.3445
29 O 0.7893 0.0576 0.1584
30 O 0.7893 0.4424 0.6584
31 O 0.7906 0.0759 0.6454
32 O 0.7906 0.4241 0.1454

## Properties
For the formation energy, the calculation gives -2.36 eV per atom. The calculation puts the mass density at 2.5 g/cm3. Its energy relative to the lowest polymorph listed for this composition is 0.0 kJ per mole of atoms. Its space group is P2_1/c (14). The calculation puts the size of the total moment at 0.00 μB per cell.